A geometry-optimized BaCeO3 structure. Source: Materials Project, functional GGA-PBE.

a = 6.304 Å, b = 8.885 Å, c = 6.287 Å
α = 90.00°, β = 90.00°, γ = 90.00°
Sites, in units of the cell vectors:
Ba 0.023 0.250 0.006
Ba 0.477 0.750 0.506
Ba 0.523 0.250 0.494
Ba 0.977 0.750 0.994
Ce 0.000 0.000 0.500
Ce 0.000 0.500 0.500
Ce 0.500 0.000 0.000
Ce 0.500 0.500 0.000
O 0.018 0.750 0.424
O 0.221 0.541 0.778
O 0.221 0.959 0.778
O 0.279 0.041 0.278
O 0.279 0.459 0.278
O 0.482 0.250 0.924
O 0.518 0.750 0.076
O 0.721 0.541 0.722
O 0.721 0.959 0.722
O 0.779 0.041 0.222
O 0.779 0.459 0.222
O 0.982 0.250 0.576

Computed properties:
The formation energy comes out at -3590.6 meV per atom. The calculation puts the mass density at 6.139 g/cm³. The symmetry is Pnma (62).